Entry from the Materials Project: a relaxed CoP2H16O10 crystal (GGA+U).

It has space group I4_1/acd (No. 142, origin choice 2), with a = 10.199 Å, b = 10.199 Å, c = 21.011 Å, α = 90.00°, β = 90.00° and γ = 90.00°. The distinct sites, in fractional coordinates, are Co at (0.000, 0.250, 0.125), P at (0.238, 0.000, 0.250), H at (0.055, 0.002, 0.152), H at (0.056, 0.194, 0.257), H at (0.059, 0.004, 0.596), H at (0.169, 0.072, 0.464), O at (0.000, 0.250, 0.020), O at (0.005, 0.056, 0.122) and O at (0.160, 0.085, 0.297).

The calculation puts the total energy at -5.135 eV per atom. The spin magnetization is 8.0 μB/cell. The formation enthalpy at 0 K is -118.8 kJ/mol of atoms.